This record from the Materials Project describes InH3O3 after structural relaxation. The functional is PBE.

## Properties
ΔE to the lowest computed polymorph   53 kJ/mol of formula units
Magnetization   0.00 μB/atom

Cell: 6.9645 6.9981 7.0055 Å, 108.72 112.39 106.87°
Space group P1 (No. 1)
Symmetry-distinct sites (fractional):
In 0.0000 0.0000 0.0000
In 0.0137 0.4966 0.4770
In 0.4924 0.9755 0.5124
In 0.5125 0.4818 0.0043
H 0.0419 0.8548 0.3192
H 0.1401 0.6465 0.9601
H 0.1942 0.2275 0.5473
H 0.2235 0.5177 0.1727
H 0.3382 0.0184 0.8762
H 0.4610 0.8007 0.7873
H 0.4882 0.1608 0.1728
H 0.7049 0.9016 0.1251
H 0.7311 0.0874 0.3338
H 0.7981 0.3101 0.9565
H 0.8023 0.8110 0.5212
H 0.8546 0.5142 0.8081
O 0.0124 0.3144 0.1665
O 0.1657 0.9856 0.3319
O 0.2041 0.3586 0.6695
O 0.3343 0.8252 0.6805
O 0.3345 0.6453 0.1661
O 0.3495 0.1426 0.0161
O 0.6638 0.1853 0.3754
O 0.6674 0.3142 0.8256
O 0.6691 0.7915 0.9747
O 0.7969 0.9324 0.6494
O 0.8230 0.6470 0.3344
O 0.9951 0.6416 0.8318


This record from the Materials Project describes GdUN2 after structural relaxation. The functional is PBE.

Cell: 3.4663 3.4663 17.1464 Å, 90.00 90.00 120.00°
Space group R-3m (No. 166, hexagonal axes)
Symmetry-distinct sites (fractional):
Gd 0.0000 0.0000 0.0000
U 0.0000 0.0000 0.5000
N 0.0000 0.0000 0.2427


no.,energy of formation from the pure elements (kJ/mol of atoms),corrected total energy (MP2020 scheme) (eV/atom)
1,-142.0,-5.4397
2,-156.6,-12.1331